A relaxed La7Sb11Br4 crystal. Source: the Materials Project, functional PBE.

Cell and atoms, written as extended XYZ:
```
88
Lattice="-3.478 -2.416 -0.991 5.430 -13.408 13.636 -16.712 15.204 21.603" Properties=species:S:1:pos:R:3 pbc="T T T"
Br 1.288 -12.757 12.268
Sb -12.928 1.683 26.971
Sb -8.418 0.831 22.758
Sb -15.878 9.062 19.331
La -3.374 -9.346 20.320
Br -0.504 -2.734 3.663
Br -5.698 -2.750 21.945
Sb -4.870 -1.862 7.318
La -8.813 -2.492 22.701
La -0.422 -10.180 11.988
Sb 1.117 -9.682 14.918
Br -8.412 -1.835 19.693
La -6.099 -5.911 21.511
Sb -2.448 -7.851 13.420
La -3.565 -4.022 17.556
Br -8.449 3.855 15.495
Sb -7.511 -5.123 24.547
La -11.387 8.726 13.929
Sb -4.503 -5.527 24.520
Sb -9.620 3.843 19.635
Sb -3.687 -4.834 10.415
Sb -12.313 7.230 20.829
Sb 1.446 -7.184 7.672
Br -6.348 1.215 14.555
Sb -11.705 -1.285 29.914
La -7.645 1.073 19.454
Sb -11.789 5.405 13.889
Sb -10.749 1.128 20.673
Br -6.311 -4.475 18.754
La -12.721 3.834 20.998
La -15.638 4.613 29.341
Sb -1.548 -6.327 16.095
Sb -4.011 -1.748 13.576
Sb -9.891 1.241 26.931
La -5.948 1.871 11.547
Br -17.177 9.136 23.712
Sb -7.557 1.479 8.604
La -3.201 -1.567 10.289
La -8.552 -1.403 28.680
La -0.622 -4.825 9.178
La 3.102 -12.433 14.658
La -11.195 3.401 16.693
Sb -2.972 -6.026 20.360
Br -2.943 -2.023 0.945
Br -11.818 1.403 33.304
La -3.456 -2.678 4.343
Sb -12.589 4.689 27.995
Br 2.416 -9.756 10.537
Sb -2.172 -5.310 6.254
Sb -14.785 11.824 18.305
Sb -10.215 -1.703 25.700
Sb -16.206 6.564 26.577
La -6.208 0.782 5.569
Br -9.244 0.506 16.906
Sb 0.024 -12.444 15.943
Sb -3.055 0.664 4.335
Sb -1.832 -2.304 7.278
Br -16.048 12.136 21.981
Sb -0.975 -8.231 9.174
Sb -10.258 4.907 9.729
Sb -10.776 6.749 16.604
La -1.963 -9.717 16.273
Sb -0.299 -9.360 19.106
La -17.863 11.813 19.591
La -8.661 5.290 12.738
Sb -6.343 -1.452 11.491
La -7.116 -1.694 14.795
Sb -13.786 7.610 25.074
Sb -14.462 8.740 15.143
Sb -13.212 5.707 18.153
Br -9.062 2.130 12.304
Sb -4.546 1.083 8.548
Sb -7.250 4.503 9.702
La -14.339 9.560 22.261
La -11.559 0.947 23.960
La -11.305 2.057 29.906
Br -5.516 -1.126 17.343
Sb -14.749 6.208 22.327
Br -14.257 2.113 30.586
Sb -3.985 -7.370 17.645
La -2.039 -4.454 13.251
Sb -5.140 -4.463 14.614
La -12.797 9.097 17.976
Sb -11.073 4.213 23.834
La -14.139 4.205 25.070
La 0.878 -5.233 4.908
Sb -0.012 -6.828 11.921
Sb -7.204 -2.100 25.645
```

## Properties
SG: No. 62
Final energy: -451.0 eV per cell
Density: 6.47 Mg/m³
ΔH_f (0 K): -124.4 kJ per mole of atoms